Compound: Cs2NaTlCl6
Source: Materials Project
Functional: PBE
Structure: relaxed

a b c (Å): 7.694 7.694 7.694
angles (deg): 60.00 60.00 60.00
Fractional coordinates of all 10 atoms:
Cl 0.242 0.758 0.758
Cs 0.250 0.250 0.250
Cs 0.750 0.750 0.750
Cl 0.242 0.758 0.242
Tl 0.000 0.000 0.000
Na 0.500 0.500 0.500
Cl 0.758 0.242 0.758
Cl 0.758 0.758 0.242
Cl 0.242 0.242 0.758
Cl 0.758 0.242 0.242

Values from the calculation:
The formation energy comes out at -1.84 eV per atom. As for the symmetry: Fm-3m, No. 225. The total moment comes out at 0.0 μB per cell.

***

Compound: Na2CuSi3O8
Source: Materials Project
Functional: PBE
Structure: relaxed

a b c (Å): 10.411 8.013 9.730
angles (deg): 74.34 90.00 90.00
Fractional coordinates of all 56 atoms:
Na 0.526 0.697 0.541
O 0.418 0.202 0.932
Na 0.989 0.706 0.371
O 0.582 0.798 0.068
Si 0.229 0.882 0.193
O 0.691 0.739 0.710
Si 0.271 0.882 0.693
O 0.852 0.289 0.810
Na 0.474 0.303 0.459
O 0.082 0.202 0.432
Si 0.023 0.695 0.692
Na 0.511 0.706 0.871
O 0.056 0.397 0.163
Na 0.026 0.303 0.959
O 0.294 0.035 0.542
O 0.618 0.155 0.774
Si 0.717 0.884 0.109
Si 0.523 0.305 0.808
Cu 0.728 0.514 0.313
O 0.191 0.261 0.790
O 0.672 0.041 0.178
O 0.882 0.155 0.274
O 0.794 0.965 0.958
O 0.352 0.711 0.690
O 0.918 0.798 0.568
Cu 0.272 0.486 0.687
Si 0.283 0.116 0.891
Cu 0.772 0.514 0.813
Si 0.783 0.884 0.609
O 0.556 0.603 0.337
O 0.444 0.397 0.663
Na 0.974 0.697 0.041
O 0.897 0.429 0.384
O 0.944 0.603 0.837
O 0.309 0.261 0.290
O 0.172 0.959 0.322
O 0.206 0.035 0.042
Si 0.217 0.116 0.391
Si 0.729 0.118 0.307
O 0.103 0.571 0.616
Si 0.771 0.118 0.807
Si 0.977 0.305 0.308
O 0.328 0.959 0.822
Si 0.477 0.695 0.192
Na 0.011 0.294 0.629
O 0.809 0.739 0.210
O 0.397 0.571 0.116
Na 0.489 0.294 0.129
O 0.382 0.845 0.226
O 0.603 0.429 0.884
O 0.828 0.041 0.678
O 0.706 0.965 0.458
O 0.648 0.289 0.310
O 0.148 0.711 0.190
Cu 0.228 0.486 0.187
O 0.118 0.845 0.726

Values from the calculation:
The formation energy comes out at -2.70 eV per atom. As for the symmetry: P2_1/c, No. 14. The total moment comes out at 4.0 μB per cell.

***

Compound: KAlP2O7
Source: Materials Project
Functional: PBE
Structure: relaxed

a b c (Å): 9.782 7.453 8.162
angles (deg): 72.89 90.00 90.00
Fractional coordinates of all 44 atoms:
O 0.047 0.323 0.197
O 0.453 0.323 0.697
O 0.501 0.978 0.776
O 0.396 0.323 0.997
O 0.431 0.631 0.761
O 0.719 0.557 0.746
O 0.569 0.369 0.239
O 0.931 0.369 0.739
K 0.318 0.819 0.058
O 0.999 0.978 0.276
P 0.097 0.126 0.169
O 0.001 0.022 0.724
O 0.908 0.850 0.020
O 0.259 0.086 0.745
P 0.631 0.566 0.188
O 0.592 0.850 0.520
Al 0.400 0.239 0.241
K 0.182 0.819 0.558
P 0.403 0.126 0.669
O 0.092 0.150 0.980
O 0.281 0.443 0.254
K 0.818 0.181 0.442
O 0.781 0.557 0.246
O 0.741 0.914 0.255
Al 0.900 0.761 0.259
P 0.903 0.874 0.831
P 0.369 0.434 0.812
O 0.953 0.677 0.803
P 0.131 0.434 0.312
O 0.604 0.677 0.003
P 0.597 0.874 0.331
Al 0.100 0.239 0.741
O 0.219 0.443 0.754
Al 0.600 0.761 0.759
O 0.104 0.323 0.497
K 0.682 0.181 0.942
P 0.869 0.566 0.688
O 0.896 0.677 0.503
O 0.408 0.150 0.480
O 0.241 0.086 0.245
O 0.759 0.914 0.755
O 0.069 0.631 0.261
O 0.547 0.677 0.303
O 0.499 0.022 0.224

Values from the calculation:
The formation energy comes out at -2.94 eV per atom. As for the symmetry: P2_1/c, No. 14. The total moment comes out at 0.0 μB per cell.